1.
Material: CsGaBP2HO9
Method: DFT, PBE-GGA
State: relaxed

a = 9.4939 Å, b = 8.8430 Å, c = 9.7962 Å
α = 90.00°, β = 104.46°, γ = 90.00°
With the nearest neighbours (Å) after each atom.
Space group P2_1/c (No. 14)
Unique sites:
Cs1 0.1961 0.1135 0.0547 (multiplicity 4)  10 O 3.13-3.43
Ga1 0.1990 0.6570 0.9284 (multiplicity 4)  6 O 1.92-2.12
B1 0.3448 0.0345 0.6961 (multiplicity 4)  4 O 1.46-1.50
P1 0.0752 0.5727 0.2003 (multiplicity 4)  4 O 1.53-1.59
P2 0.4139 0.7282 0.7157 (multiplicity 4)  4 O 1.53-1.58
H1 0.3944 0.0607 0.5003 (multiplicity 4)  1 O 0.97
O1 0.0692 0.5107 0.8118 (multiplicity 4)  1 P 1.53
O2 0.0808 0.6659 0.0694 (multiplicity 4)  1 P 1.54
O3 0.0957 0.6703 0.3339 (multiplicity 4)  1 P 1.54
O4 0.2023 0.0495 0.7290 (multiplicity 4)  1 B 1.47, 1 P 1.59
O5 0.3138 0.0299 0.5385 (multiplicity 4)  1 H 0.97
O6 0.3335 0.6339 0.8034 (multiplicity 4)  1 P 1.53
O7 0.3493 0.7128 0.5572 (multiplicity 4)  1 P 1.53
O8 0.4236 0.1734 0.7493 (multiplicity 4)  1 B 1.46, 1 P 1.57
O9 0.4286 0.6005 0.2610 (multiplicity 4)  1 B 1.49, 1 P 1.58

Output
Theoretical density   3.5 g/cm³
Total energy   -405.7 eV/cell
Calculated formation energy   -2.55 eV/atom
Size of the total moment   0.00 μB per atom

---

2.
Material: CsLi2Gd4B5O15
Method: DFT, PBE-GGA
State: relaxed

a = 10.7287 Å, b = 6.5142 Å, c = 20.2807 Å
α = 90.00°, β = 105.47°, γ = 90.00°
With the nearest neighbours (Å) after each atom.
Space group P2/c (No. 13)
Unique sites:
Cs1 0.1967 0.0952 0.1415 (multiplicity 4)  8 O 3.09-3.44, 5 B 3.32-3.43, 1 Li 3.45
Li1 0.1201 0.0140 0.8421 (multiplicity 4)  4 O 1.90-2.06
Li2 0.4844 0.0216 0.8467 (multiplicity 4)  5 O 1.94-2.14
Gd1 0.0000 0.4029 0.7500 (multiplicity 2)  7 O 2.33-2.53
Gd2 0.0898 0.3544 0.9467 (multiplicity 4)  6 O 2.26-2.45
Gd3 0.3055 0.3418 0.3499 (multiplicity 4)  8 O 2.30-2.50
Gd4 0.3896 0.3510 0.5464 (multiplicity 4)  7 O 2.31-2.51
Gd5 0.5000 0.4098 0.7500 (multiplicity 2)  7 O 2.33-2.57
B1 0.0000 0.1658 0.2500 (multiplicity 2)  3 O 1.37-1.39
B2 0.1074 0.1940 0.4504 (multiplicity 4)  3 O 1.36-1.42
B3 0.2196 0.4066 0.6766 (multiplicity 4)  3 O 1.39
B4 0.3019 0.2162 0.8502 (multiplicity 4)  3 O 1.36-1.40
B5 0.4002 0.2023 0.0436 (multiplicity 4)  3 O 1.36-1.42
B6 0.5000 0.1587 0.2500 (multiplicity 2)  3 O 1.38-1.39
O1 0.0000 0.0452 0.7500 (multiplicity 2)  1 B 1.37
O2 0.0175 0.3088 0.4728 (multiplicity 4)  1 B 1.39
O3 0.0807 0.2770 0.3026 (multiplicity 4)  1 B 1.39
O4 0.0882 0.3641 0.6528 (multiplicity 4)  1 B 1.39
O5 0.0889 0.0046 0.9301 (multiplicity 4)  1 B 1.36
O6 0.1898 0.3255 0.8515 (multiplicity 4)  1 B 1.40
O7 0.2171 0.3106 0.4469 (multiplicity 4)  1 B 1.42
O8 0.2650 0.4963 0.2395 (multiplicity 4)  1 B 1.39
O9 0.2872 0.3185 0.0247 (multiplicity 4)  1 B 1.39
O10 0.2988 0.0100 0.8398 (multiplicity 4)  1 B 1.36
O11 0.3117 0.3503 0.6433 (multiplicity 4)  1 B 1.39
O12 0.4036 0.0006 0.0613 (multiplicity 4)  1 B 1.36
O13 0.4179 0.3255 0.8596 (multiplicity 4)  1 B 1.40
O14 0.4866 0.3210 0.4530 (multiplicity 4)  1 B 1.42
O15 0.4892 0.2687 0.3070 (multiplicity 4)  1 B 1.39
O16 0.5000 0.0527 0.7500 (multiplicity 2)  1 B 1.38

Output
Theoretical density   5.2 g/cm³
Total energy   -982.4 eV/cell
Calculated formation energy   -3.23 eV/atom
Size of the total moment   1.04 μB per atom

---

3.
Material: CsB3H8
Method: DFT, PBE-GGA
State: relaxed

a = 9.4976 Å, b = 8.8734 Å, c = 7.6175 Å
α = 90.00°, β = 90.00°, γ = 90.00°
With the nearest neighbours (Å) after each atom.
Space group Ama2 (No. 40)
Unique sites:
Cs1 0.2500 0.1746 0.0000 (multiplicity 4)  10 H 3.07-3.43
B1 0.1554 0.2761 0.4949 (multiplicity 8)  3 H 1.21-1.27
B2 0.2500 0.1052 0.4984 (multiplicity 4)  2 H 1.21-1.22
H1 0.0994 0.1466 0.4981 (multiplicity 8)  1 B 1.27
H2 0.1124 0.3359 0.6283 (multiplicity 8)  1 B 1.22
H3 0.1125 0.3300 0.3585 (multiplicity 8)  1 B 1.21
H4 0.2500 0.0298 0.3663 (multiplicity 4)  1 B 1.21
H5 0.2500 0.0318 0.6333 (multiplicity 4)  1 B 1.22

Output
Theoretical density   1.8 g/cm³
Total energy   -203.8 eV/cell
Calculated formation energy   -0.36 eV/atom
Size of the total moment   0.00 μB per atom

---

4.
Material: CsB3H8
Method: DFT, PBE-GGA
State: relaxed

a = 7.4935 Å, b = 8.7380 Å, c = 9.1214 Å
α = 90.00°, β = 90.00°, γ = 90.00°
With the nearest neighbours (Å) after each atom.
Space group Cmcm (No. 63)
Unique sites:
Cs1 0.0000 0.1779 0.2500 (multiplicity 4)  12 H 3.03-3.39
B1 0.0000 0.2224 0.6513 (multiplicity 8)  3 H 1.19-1.27
B2 0.0000 0.3974 0.7500 (multiplicity 4)  2 H 1.21
H1 0.0000 0.3548 0.5942 (multiplicity 8)  1 B 1.27
H2 0.1323 0.1635 0.6056 (multiplicity 16)  1 B 1.19
H3 0.1355 0.4724 0.7500 (multiplicity 8)  1 B 1.21

Output
Theoretical density   1.9 g/cm³
Total energy   -203.7 eV/cell
Calculated formation energy   -0.36 eV/atom
Size of the total moment   0.00 μB per atom

---

5.
Material: CsB6H6
Method: DFT, PBE-GGA
State: relaxed

a = 11.4190 Å, b = 11.4190 Å, c = 11.4190 Å
α = 90.00°, β = 90.00°, γ = 90.00°
With the nearest neighbours (Å) after each atom.
Space group Fm-3 (No. 202)
Unique sites:
Cs1 0.2500 0.2500 0.2500 (multiplicity 8)  12 H 3.18
B1 0.0000 0.0778 0.1262 (multiplicity 48)  1 H 1.21
H1 0.0000 0.1327 0.2163 (multiplicity 48)  1 B 1.21

Output
Theoretical density   1.8 g/cm³
Total energy   -531.0 eV/cell
Calculated formation energy   -0.47 eV/atom

---

6.
Material: CsBH4
Method: DFT, PBE-GGA
State: relaxed

a = 7.4514 Å, b = 7.4514 Å, c = 7.4514 Å
α = 90.00°, β = 90.00°, γ = 90.00°
With the nearest neighbours (Å) after each atom.
Space group F-43m (No. 216)
Unique sites:
Cs1 0.0000 0.0000 0.0000 (multiplicity 4)  12 H 3.18
B1 0.0000 0.0000 0.5000 (multiplicity 4)  4 H 1.23
H1 0.0955 0.0955 0.5955 (multiplicity 16)  1 B 1.23

Output
Theoretical density   2.4 g/cm³
Total energy   -94.1 eV/cell
Calculated formation energy   -0.51 eV/atom